[1]
# MgMn6O10F2

A relaxed structure of MgMn6O10F2 (PBE with a Hubbard U, the Materials Project).

Cell and atoms, written as CIF:
```
data_MgMn6O10F2
_chemical_formula_sum 'Mg1 Mn6 O10 F2'
_cell_length_a 2.964
_cell_length_b 6.778
_cell_length_c 11.011
_cell_angle_alpha 106.86
_cell_angle_beta 90.01
_cell_angle_gamma 90.01
_space_group_name_H-M_alt 'P 1'
_space_group_IT_number 1
loop_
_space_group_symop_operation_xyz
'x,y,z'
loop_
_atom_site_label
_atom_site_type_symbol
_atom_site_fract_x
_atom_site_fract_y
_atom_site_fract_z
Mg1 Mg 0.000 0.000 0.000
Mn1 Mn 0.495 0.643 0.813
Mn2 Mn 0.496 0.982 0.498
Mn3 Mn 0.499 0.364 0.216
Mn4 Mn 0.993 0.170 0.801
Mn5 Mn 0.996 0.830 0.195
Mn6 Mn 0.998 0.521 0.512
O1 O 0.493 0.350 0.800
O2 O 0.495 0.012 0.865
O3 O 0.497 0.654 0.200
O4 O 0.497 0.693 0.496
O5 O 0.498 0.002 0.143
O6 O 0.995 0.627 0.696
O7 O 0.995 0.697 0.933
O8 O 0.996 0.037 0.615
O9 O 0.997 0.957 0.382
O10 O 0.999 0.392 0.329
F1 F 0.498 0.316 0.520
F2 F 0.998 0.301 0.073
```

Calculated values
Energy with MP2020 corrections (eV/atom): -7.86
Polymorph energy (0 for the lowest one) (meV per atom): 55.3
ΔH_f (0 K) (eV/atom): -2.076

---

[2]
# Pr5Te7WCl3O23

A relaxed structure of Pr5Te7WCl3O23 (PBE with a Hubbard U, the Materials Project).

Cell and atoms, written as CIF:
```
data_Pr5Te7WCl3O23
_chemical_formula_sum 'Pr10 Te14 W2 Cl6 O46'
_cell_length_a 10.086
_cell_length_b 10.086
_cell_length_c 18.629
_cell_angle_alpha 92.71
_cell_angle_beta 92.71
_cell_angle_gamma 134.69
_space_group_name_H-M_alt 'P 1'
_space_group_IT_number 1
loop_
_space_group_symop_operation_xyz
'x,y,z'
loop_
_atom_site_label
_atom_site_type_symbol
_atom_site_fract_x
_atom_site_fract_y
_atom_site_fract_z
Pr1 Pr 0.000 0.000 0.000
Pr2 Pr 0.014 0.720 0.363
Pr3 Pr 0.058 0.058 0.238
Pr4 Pr 0.237 0.497 0.363
Pr5 Pr 0.280 0.986 0.637
Pr6 Pr 0.459 0.422 0.762
Pr7 Pr 0.503 0.763 0.637
Pr8 Pr 0.521 0.479 0.000
Pr9 Pr 0.578 0.541 0.238
Pr10 Pr 0.942 0.942 0.762
Te1 Te 0.058 0.200 0.610
Te2 Te 0.124 0.394 0.144
Te3 Te 0.168 0.407 0.885
Te4 Te 0.351 0.077 0.115
Te5 Te 0.396 0.091 0.858
Te6 Te 0.459 0.283 0.390
Te7 Te 0.593 0.832 0.115
Te8 Te 0.606 0.876 0.856
Te9 Te 0.717 0.541 0.610
Te10 Te 0.754 0.237 0.738
Te11 Te 0.763 0.246 0.262
Te12 Te 0.800 0.942 0.390
Te13 Te 0.909 0.604 0.142
Te14 Te 0.923 0.649 0.885
W1 W 0.023 0.505 0.523
W2 W 0.495 0.977 0.477
Cl1 Cl 0.061 0.939 0.500
Cl2 Cl 0.197 0.679 0.786
Cl3 Cl 0.259 0.741 0.000
Cl4 Cl 0.321 0.803 0.214
Cl5 Cl 0.456 0.544 0.500
Cl6 Cl 0.719 0.281 0.000
O1 O 0.052 0.169 0.113
O2 O 0.067 0.388 0.469
O3 O 0.074 0.883 0.110
O4 O 0.117 0.926 0.890
O5 O 0.164 0.270 0.809
O6 O 0.172 0.138 0.663
O7 O 0.187 0.309 0.965
O8 O 0.237 0.446 0.659
O9 O 0.241 0.417 0.234
O10 O 0.243 0.726 0.577
O11 O 0.274 0.757 0.423
O12 O 0.277 0.067 0.766
O13 O 0.280 0.037 0.341
O14 O 0.326 0.173 0.036
O15 O 0.344 0.345 0.337
O16 O 0.354 0.213 0.191
O17 O 0.400 0.556 0.110
O18 O 0.444 0.600 0.890
O19 O 0.451 0.095 0.531
O20 O 0.462 0.315 0.885
O21 O 0.525 0.007 0.689
O22 O 0.554 0.763 0.341
O23 O 0.576 0.339 0.670
O24 O 0.583 0.759 0.766
O25 O 0.612 0.933 0.531
O26 O 0.649 0.132 0.413
O27 O 0.649 0.279 0.807
O28 O 0.655 0.656 0.663
O29 O 0.661 0.424 0.330
O30 O 0.685 0.538 0.115
O31 O 0.691 0.813 0.035
O32 O 0.721 0.351 0.193
O33 O 0.730 0.837 0.191
O34 O 0.787 0.646 0.809
O35 O 0.795 0.132 0.808
O36 O 0.827 0.674 0.964
O37 O 0.831 0.948 0.887
O38 O 0.856 0.058 0.670
O39 O 0.862 0.828 0.337
O40 O 0.868 0.205 0.192
O41 O 0.868 0.351 0.587
O42 O 0.905 0.549 0.469
O43 O 0.933 0.723 0.234
O44 O 0.942 0.144 0.330
O45 O 0.963 0.720 0.659
O46 O 0.993 0.475 0.311
```

Calculated values
Energy with MP2020 corrections (eV/atom): -6.91
ΔH_f (0 K) (eV/atom): -2.335

---

[3]
# In5Mo18O28

A relaxed structure of In5Mo18O28 (PBE with a Hubbard U, the Materials Project).

Cell and atoms, written as CIF:
```
data_In5Mo18O28
_chemical_formula_sum 'In10 Mo36 O56'
_cell_length_a 14.759
_cell_length_b 10.054
_cell_length_c 10.433
_cell_angle_alpha 90.00
_cell_angle_beta 100.77
_cell_angle_gamma 90.00
_space_group_name_H-M_alt 'P 1'
_space_group_IT_number 1
loop_
_space_group_symop_operation_xyz
'x,y,z'
loop_
_atom_site_label
_atom_site_type_symbol
_atom_site_fract_x
_atom_site_fract_y
_atom_site_fract_z
In1 In 0.000 0.000 0.000
In2 In 0.000 0.500 0.500
In3 In 0.207 0.024 0.081
In4 In 0.207 0.476 0.581
In5 In 0.399 0.552 0.553
In6 In 0.399 0.948 0.053
In7 In 0.601 0.052 0.947
In8 In 0.601 0.448 0.447
In9 In 0.793 0.524 0.419
In10 In 0.793 0.976 0.919
Mo1 Mo 0.002 0.626 0.104
Mo2 Mo 0.002 0.874 0.604
Mo3 Mo 0.111 0.645 0.859
Mo4 Mo 0.111 0.855 0.359
Mo5 Mo 0.113 0.146 0.695
Mo6 Mo 0.113 0.354 0.195
Mo7 Mo 0.222 0.128 0.457
Mo8 Mo 0.222 0.372 0.957
Mo9 Mo 0.225 0.625 0.160
Mo10 Mo 0.225 0.875 0.660
Mo11 Mo 0.333 0.633 0.908
Mo12 Mo 0.333 0.867 0.408
Mo13 Mo 0.339 0.145 0.758
Mo14 Mo 0.339 0.355 0.258
Mo15 Mo 0.444 0.139 0.527
Mo16 Mo 0.444 0.361 0.027
Mo17 Mo 0.450 0.624 0.216
Mo18 Mo 0.450 0.876 0.716
Mo19 Mo 0.550 0.124 0.284
Mo20 Mo 0.550 0.376 0.784
Mo21 Mo 0.556 0.639 0.973
Mo22 Mo 0.556 0.861 0.473
Mo23 Mo 0.661 0.645 0.742
Mo24 Mo 0.661 0.855 0.242
Mo25 Mo 0.667 0.133 0.592
Mo26 Mo 0.667 0.367 0.092
Mo27 Mo 0.775 0.125 0.340
Mo28 Mo 0.775 0.375 0.840
Mo29 Mo 0.778 0.628 0.043
Mo30 Mo 0.778 0.872 0.543
Mo31 Mo 0.887 0.646 0.805
Mo32 Mo 0.887 0.854 0.305
Mo33 Mo 0.889 0.145 0.641
Mo34 Mo 0.889 0.355 0.141
Mo35 Mo 0.998 0.126 0.396
Mo36 Mo 0.998 0.374 0.896
O1 O 0.002 0.030 0.745
O2 O 0.002 0.470 0.245
O3 O 0.002 0.743 0.933
O4 O 0.002 0.757 0.433
O5 O 0.111 0.231 0.355
O6 O 0.111 0.269 0.855
O7 O 0.115 0.725 0.207
O8 O 0.115 0.775 0.707
O9 O 0.220 0.519 0.804
O10 O 0.220 0.981 0.304
O11 O 0.227 0.031 0.797
O12 O 0.227 0.469 0.297
O13 O 0.228 0.249 0.628
O14 O 0.228 0.251 0.128
O15 O 0.228 0.728 0.984
O16 O 0.228 0.772 0.484
O17 O 0.338 0.734 0.257
O18 O 0.338 0.766 0.757
O19 O 0.339 0.224 0.412
O20 O 0.339 0.276 0.912
O21 O 0.445 0.735 0.036
O22 O 0.445 0.765 0.536
O23 O 0.446 0.015 0.869
O24 O 0.446 0.485 0.369
O25 O 0.448 0.247 0.686
O26 O 0.448 0.253 0.186
O27 O 0.454 0.504 0.877
O28 O 0.454 0.996 0.377
O29 O 0.546 0.004 0.623
O30 O 0.546 0.496 0.123
O31 O 0.552 0.747 0.814
O32 O 0.552 0.753 0.314
O33 O 0.554 0.515 0.631
O34 O 0.554 0.985 0.131
O35 O 0.555 0.235 0.464
O36 O 0.555 0.265 0.964
O37 O 0.661 0.724 0.088
O38 O 0.661 0.776 0.588
O39 O 0.662 0.234 0.243
O40 O 0.662 0.266 0.743
O41 O 0.772 0.228 0.516
O42 O 0.772 0.272 0.016
O43 O 0.772 0.749 0.872
O44 O 0.772 0.751 0.372
O45 O 0.773 0.531 0.703
O46 O 0.773 0.969 0.203
O47 O 0.780 0.019 0.696
O48 O 0.780 0.481 0.196
O49 O 0.885 0.225 0.293
O50 O 0.885 0.275 0.793
O51 O 0.889 0.731 0.145
O52 O 0.889 0.769 0.645
O53 O 0.998 0.243 0.567
O54 O 0.998 0.257 0.067
O55 O 0.998 0.530 0.755
O56 O 0.998 0.970 0.255
```

Calculated values
Energy with MP2020 corrections (eV/atom): -7.93
ΔH_f (0 K) (eV/atom): -1.111

---

[4]
# VH4C2O6

A relaxed structure of VH4C2O6 (PBE with a Hubbard U, the Materials Project).

Cell and atoms, written as CIF:
```
data_VH4C2O6
_chemical_formula_sum 'V4 H16 C8 O24'
_cell_length_a 8.491
_cell_length_b 7.527
_cell_length_c 8.626
_cell_angle_alpha 90.00
_cell_angle_beta 90.00
_cell_angle_gamma 90.00
_space_group_name_H-M_alt 'P 1'
_space_group_IT_number 1
loop_
_space_group_symop_operation_xyz
'x,y,z'
loop_
_atom_site_label
_atom_site_type_symbol
_atom_site_fract_x
_atom_site_fract_y
_atom_site_fract_z
V1 V 0.000 0.228 0.250
V2 V 0.000 0.772 0.750
V3 V 0.500 0.228 0.750
V4 V 0.500 0.772 0.250
H1 H 0.072 0.401 0.691
H2 H 0.072 0.599 0.191
H3 H 0.170 0.176 0.927
H4 H 0.170 0.824 0.427
H5 H 0.330 0.176 0.427
H6 H 0.330 0.824 0.927
H7 H 0.428 0.401 0.191
H8 H 0.428 0.599 0.691
H9 H 0.572 0.401 0.309
H10 H 0.572 0.599 0.809
H11 H 0.670 0.176 0.073
H12 H 0.670 0.824 0.573
H13 H 0.830 0.176 0.573
H14 H 0.830 0.824 0.073
H15 H 0.928 0.401 0.809
H16 H 0.928 0.599 0.309
C1 C 0.244 0.236 0.508
C2 C 0.244 0.764 0.008
C3 C 0.256 0.236 0.008
C4 C 0.256 0.764 0.508
C5 C 0.744 0.236 0.492
C6 C 0.744 0.764 0.992
C7 C 0.756 0.236 0.992
C8 C 0.756 0.764 0.492
O1 O 0.000 0.011 0.250
O2 O 0.000 0.477 0.750
O3 O 0.000 0.523 0.250
O4 O 0.000 0.989 0.750
O5 O 0.105 0.268 0.463
O6 O 0.105 0.732 0.963
O7 O 0.214 0.275 0.146
O8 O 0.214 0.725 0.646
O9 O 0.286 0.275 0.646
O10 O 0.286 0.725 0.146
O11 O 0.395 0.268 0.963
O12 O 0.395 0.732 0.463
O13 O 0.500 0.011 0.750
O14 O 0.500 0.477 0.250
O15 O 0.500 0.523 0.750
O16 O 0.500 0.989 0.250
O17 O 0.605 0.268 0.537
O18 O 0.605 0.732 0.037
O19 O 0.714 0.275 0.854
O20 O 0.714 0.725 0.354
O21 O 0.786 0.275 0.354
O22 O 0.786 0.725 0.854
O23 O 0.895 0.268 0.037
O24 O 0.895 0.732 0.537
```

Calculated values
Energy with MP2020 corrections (eV/atom): -6.92
ΔH_f (0 K) (eV/atom): -1.470

---

[5]
# CaMgVO5

A relaxed structure of CaMgVO5 (PBE with a Hubbard U, the Materials Project).

Cell and atoms, written as CIF:
```
data_CaMgVO5
_chemical_formula_sum 'Ca4 Mg4 V4 O20'
_cell_length_a 6.057
_cell_length_b 7.429
_cell_length_c 9.159
_cell_angle_alpha 90.00
_cell_angle_beta 90.00
_cell_angle_gamma 90.00
_space_group_name_H-M_alt 'P 1'
_space_group_IT_number 1
loop_
_space_group_symop_operation_xyz
'x,y,z'
loop_
_atom_site_label
_atom_site_type_symbol
_atom_site_fract_x
_atom_site_fract_y
_atom_site_fract_z
Ca1 Ca 0.026 0.129 0.164
Ca2 Ca 0.474 0.871 0.664
Ca3 Ca 0.526 0.371 0.836
Ca4 Ca 0.974 0.629 0.336
Mg1 Mg 0.246 0.258 0.505
Mg2 Mg 0.254 0.742 0.005
Mg3 Mg 0.746 0.242 0.495
Mg4 Mg 0.754 0.758 0.995
V1 V 0.015 0.619 0.682
V2 V 0.485 0.381 0.182
V3 V 0.515 0.881 0.318
V4 V 0.985 0.119 0.818
O1 O 0.005 0.113 0.413
O2 O 0.012 0.936 0.940
O3 O 0.077 0.791 0.565
O4 O 0.236 0.152 0.723
O5 O 0.245 0.609 0.798
O6 O 0.255 0.391 0.298
O7 O 0.264 0.848 0.223
O8 O 0.423 0.209 0.065
O9 O 0.488 0.064 0.440
O10 O 0.495 0.887 0.913
O11 O 0.505 0.387 0.587
O12 O 0.512 0.564 0.060
O13 O 0.577 0.709 0.435
O14 O 0.736 0.348 0.277
O15 O 0.745 0.891 0.202
O16 O 0.755 0.109 0.702
O17 O 0.764 0.652 0.777
O18 O 0.923 0.291 0.935
O19 O 0.988 0.436 0.560
O20 O 0.995 0.613 0.087
```

Calculated values
Energy with MP2020 corrections (eV/atom): -7.34
ΔH_f (0 K) (eV/atom): -2.656

---

[6]
# TlCr3O8

A relaxed structure of TlCr3O8 (PBE with a Hubbard U, the Materials Project).

Cell and atoms, written as CIF:
```
data_TlCr3O8
_chemical_formula_sum 'Tl2 Cr6 O16'
_cell_length_a 5.283
_cell_length_b 5.282
_cell_length_c 15.985
_cell_angle_alpha 92.91
_cell_angle_beta 92.92
_cell_angle_gamma 63.13
_space_group_name_H-M_alt 'P 1'
_space_group_IT_number 1
loop_
_space_group_symop_operation_xyz
'x,y,z'
loop_
_atom_site_label
_atom_site_type_symbol
_atom_site_fract_x
_atom_site_fract_y
_atom_site_fract_z
Tl1 Tl 0.000 0.000 0.000
Tl2 Tl 0.000 0.000 0.500
Cr1 Cr 0.000 0.000 0.750
Cr2 Cr 0.000 0.000 0.250
Cr3 Cr 0.364 0.364 0.352
Cr4 Cr 0.364 0.364 0.852
Cr5 Cr 0.636 0.636 0.148
Cr6 Cr 0.636 0.636 0.649
O1 O 0.215 0.215 0.285
O2 O 0.216 0.215 0.785
O3 O 0.784 0.785 0.215
O4 O 0.785 0.784 0.715
O5 O 0.316 0.316 0.448
O6 O 0.316 0.315 0.948
O7 O 0.684 0.685 0.052
O8 O 0.684 0.684 0.552
O9 O 0.718 0.216 0.338
O10 O 0.719 0.216 0.838
O11 O 0.783 0.282 0.162
O12 O 0.784 0.282 0.662
O13 O 0.281 0.784 0.162
O14 O 0.282 0.783 0.662
O15 O 0.216 0.718 0.338
O16 O 0.217 0.718 0.838
```

Calculated values
Energy with MP2020 corrections (eV/atom): -7.69
ΔH_f (0 K) (eV/atom): -1.779

---

[7]
# La2GaNiO6

A relaxed structure of La2GaNiO6 (PBE with a Hubbard U, the Materials Project).

Cell and atoms, written as CIF:
```
data_La2GaNiO6
_chemical_formula_sum 'La2 Ga1 Ni1 O6'
_cell_length_a 5.486
_cell_length_b 5.486
_cell_length_c 5.486
_cell_angle_alpha 61.29
_cell_angle_beta 61.29
_cell_angle_gamma 61.29
_space_group_name_H-M_alt 'P 1'
_space_group_IT_number 1
loop_
_space_group_symop_operation_xyz
'x,y,z'
loop_
_atom_site_label
_atom_site_type_symbol
_atom_site_fract_x
_atom_site_fract_y
_atom_site_fract_z
La1 La 0.249 0.249 0.249
La2 La 0.751 0.751 0.751
Ga1 Ga 0.500 0.500 0.500
Ni1 Ni 0.000 0.000 0.000
O1 O 0.185 0.750 0.318
O2 O 0.250 0.682 0.815
O3 O 0.318 0.185 0.750
O4 O 0.682 0.815 0.250
O5 O 0.750 0.318 0.185
O6 O 0.815 0.250 0.682
```

Calculated values
Energy with MP2020 corrections (eV/atom): -7.59
Polymorph energy (0 for the lowest one) (meV per atom): 2.9
ΔH_f (0 K) (eV/atom): -2.757

---

[8]
# MnZnSi2O6

A relaxed structure of MnZnSi2O6 (PBE with a Hubbard U, the Materials Project).

Cell and atoms, written as CIF:
```
data_MnZnSi2O6
_chemical_formula_sum 'Mn8 Zn8 Si16 O48'
_cell_length_a 5.340
_cell_length_b 18.770
_cell_length_c 9.208
_cell_angle_alpha 90.00
_cell_angle_beta 90.00
_cell_angle_gamma 90.00
_space_group_name_H-M_alt 'P 1'
_space_group_IT_number 1
loop_
_space_group_symop_operation_xyz
'x,y,z'
loop_
_atom_site_label
_atom_site_type_symbol
_atom_site_fract_x
_atom_site_fract_y
_atom_site_fract_z
Mn1 Mn 0.120 0.123 0.012
Mn2 Mn 0.120 0.377 0.512
Mn3 Mn 0.380 0.623 0.012
Mn4 Mn 0.380 0.877 0.512
Mn5 Mn 0.620 0.123 0.488
Mn6 Mn 0.620 0.377 0.988
Mn7 Mn 0.880 0.623 0.488
Mn8 Mn 0.880 0.877 0.988
Zn1 Zn 0.116 0.125 0.648
Zn2 Zn 0.116 0.375 0.148
Zn3 Zn 0.384 0.625 0.648
Zn4 Zn 0.384 0.875 0.148
Zn5 Zn 0.616 0.125 0.852
Zn6 Zn 0.616 0.375 0.352
Zn7 Zn 0.884 0.625 0.852
Zn8 Zn 0.884 0.875 0.352
Si1 Si 0.062 0.729 0.162
Si2 Si 0.062 0.771 0.662
Si3 Si 0.208 0.025 0.335
Si4 Si 0.208 0.475 0.835
Si5 Si 0.292 0.525 0.335
Si6 Si 0.292 0.975 0.835
Si7 Si 0.438 0.229 0.162
Si8 Si 0.438 0.271 0.662
Si9 Si 0.562 0.729 0.338
Si10 Si 0.562 0.771 0.838
Si11 Si 0.708 0.025 0.165
Si12 Si 0.708 0.475 0.665
Si13 Si 0.792 0.525 0.165
Si14 Si 0.792 0.975 0.665
Si15 Si 0.938 0.229 0.338
Si16 Si 0.938 0.271 0.838
O1 O 0.057 0.684 0.663
O2 O 0.057 0.816 0.163
O3 O 0.064 0.690 0.005
O4 O 0.064 0.810 0.505
O5 O 0.081 0.551 0.211
O6 O 0.081 0.949 0.711
O7 O 0.169 0.199 0.234
O8 O 0.169 0.301 0.734
O9 O 0.207 0.563 0.838
O10 O 0.207 0.937 0.338
O11 O 0.209 0.565 0.484
O12 O 0.209 0.935 0.984
O13 O 0.291 0.065 0.484
O14 O 0.291 0.435 0.984
O15 O 0.293 0.063 0.838
O16 O 0.293 0.437 0.338
O17 O 0.331 0.699 0.234
O18 O 0.331 0.801 0.734
O19 O 0.419 0.051 0.211
O20 O 0.419 0.449 0.711
O21 O 0.436 0.190 0.005
O22 O 0.436 0.310 0.505
O23 O 0.443 0.184 0.663
O24 O 0.443 0.316 0.163
O25 O 0.557 0.684 0.837
O26 O 0.557 0.816 0.337
O27 O 0.564 0.690 0.495
O28 O 0.564 0.810 0.995
O29 O 0.581 0.551 0.289
O30 O 0.581 0.949 0.789
O31 O 0.669 0.199 0.266
O32 O 0.669 0.301 0.766
O33 O 0.707 0.563 0.662
O34 O 0.707 0.937 0.162
O35 O 0.709 0.565 0.016
O36 O 0.709 0.935 0.516
O37 O 0.791 0.065 0.016
O38 O 0.791 0.435 0.516
O39 O 0.793 0.063 0.662
O40 O 0.793 0.437 0.162
O41 O 0.831 0.699 0.266
O42 O 0.831 0.801 0.766
O43 O 0.919 0.051 0.289
O44 O 0.919 0.449 0.789
O45 O 0.936 0.190 0.495
O46 O 0.936 0.310 0.995
O47 O 0.943 0.184 0.837
O48 O 0.943 0.316 0.337
```

Calculated values
Energy with MP2020 corrections (eV/atom): -7.80
Polymorph energy (0 for the lowest one) (meV per atom): 20.4
ΔH_f (0 K) (eV/atom): -2.703

---

What is the ΔH_f (0 K) in the third record?
-1.111 eV/atom

---

The highest ΔH_f (0 K) belongs to which entry?
In5Mo18O28

---

The highest energy with MP2020 corrections belongs to which entry?
Pr5Te7WCl3O23

---

Which formula does entry 8 have?
MnZnSi2O6